1.
Material: CaSnS3
Method: DFT, PBE
State: relaxed

Cell and atoms, written as POSCAR:
```
CaSnS3
1.0
-1.1942 3.8571 8.4538
-4.0838 -0.5487 -0.3265
0.5679 -5.8685 2.7578
S Ca Sn
6 2 2
direct
0.5467 0.9987 0.7150
0.7515 0.4931 0.3360
0.9347 0.4938 0.8637
0.4347 0.5062 0.1363
0.0467 0.0013 0.2850
0.2515 0.5069 0.6640
0.7687 0.9913 0.0381
0.2687 0.0087 0.9619
0.4985 0.4983 0.4981
0.9985 0.5017 0.5019
```

Output
electronic total energy: -46.63 eV for the cell shown
calculated volume: 25.21 Å³ per atom
energy relative to the lowest polymorph listed for this composition: 0.042 eV/atom

=====

2.
Material: CaSnS3
Method: DFT, PBE
State: relaxed

Cell and atoms, written as POSCAR:
```
CaSnS3
1.0
0.1981 5.7555 4.4438
-1.4716 -6.7821 2.1791
17.2722 -2.8212 2.8840
S Ca Sn
18 6 6
direct
0.1270 0.8730 0.3953
0.9892 0.5070 0.7500
0.4989 0.5011 0.7500
0.8730 0.1270 0.6047
0.5011 0.4989 0.2500
0.6111 0.8739 0.0538
0.1261 0.3889 0.4462
0.8739 0.6111 0.9462
0.1270 0.8730 0.1047
0.8730 0.1270 0.8953
0.8739 0.6111 0.5538
0.0108 0.4930 0.2500
0.6111 0.8739 0.4462
0.4930 0.0108 0.7500
0.3889 0.1261 0.9462
0.3889 0.1261 0.5538
0.5070 0.9892 0.2500
0.1261 0.3889 0.0538
0.6988 0.3012 0.4311
0.9323 0.0677 0.7500
0.0677 0.9323 0.2500
0.6988 0.3012 0.0689
0.3012 0.6988 0.5689
0.3012 0.6988 0.9311
0.3442 0.6558 0.3397
0.3442 0.6558 0.1603
0.6558 0.3442 0.8397
0.0000 0.0000 0.5000
0.6558 0.3442 0.6603
0.0000 0.0000 0.0000
```

Output
electronic total energy: -135.60 eV for the cell shown
calculated volume: 25.91 Å³ per atom
energy relative to the lowest polymorph listed for this composition: 0.184 eV/atom